Material: Ce2Ir7
Method: DFT, PBE
State: relaxed

Properties
Energy of formation: -549 meV/atom
E_tot: -0.64252 Ry/atom

```
18
Lattice="2.663 1.538 13.205 -2.663 1.538 13.205 0.000 -3.075 13.205" Properties=species:S:1:pos:R:3 pbc="T T T"
Ce 0.000 0.000 1.992
Ce 0.000 0.000 5.829
Ce 0.000 0.000 33.786
Ce 0.000 0.000 37.622
Ir -1.332 -0.769 13.205
Ir -1.340 -0.774 17.581
Ir 0.000 0.000 11.006
Ir 0.000 -1.548 22.033
Ir -1.340 0.774 22.033
Ir 0.000 0.000 15.415
Ir -1.332 0.769 26.409
Ir 0.000 1.538 13.205
Ir 0.000 0.000 19.807
Ir 0.000 0.000 24.199
Ir 1.340 -0.774 17.581
Ir 0.000 1.548 17.581
Ir 0.000 0.000 28.608
Ir 1.340 0.774 22.033
```